# Li2V2S3O12 | Materials Project | PBE with a Hubbard U | optimized geometry
# Total moment: 0.316 μB/atom
# Polymorph energy (0 for the lowest one): 0 meV/atom
# Energy of formation: -2150 meV per atom
data_Li2V2S3O12
_cell_length_a 12.461
_cell_length_b 8.789
_cell_length_c 8.983
_cell_angle_alpha 90.00
_cell_angle_beta 90.00
_cell_angle_gamma 90.00
_space_group_name_H-M_alt 'P b c n'
_space_group_IT_number 60
_space_group_name_Hall '-P 2n 2ab'
loop_
_atom_site_label
_atom_site_type_symbol
_atom_site_fract_x
_atom_site_fract_y
_atom_site_fract_z
Li1 Li 0.182 0.216 0.223
V1 V 0.114 0.252 0.538
S1 S 0.000 0.455 0.250
S2 S 0.147 0.102 0.894
O1 O 0.034 0.137 0.925
O2 O 0.057 0.455 0.639
O3 O 0.081 0.353 0.324
O4 O 0.163 0.066 0.387
O5 O 0.182 0.169 0.749
O6 O 0.216 0.166 0.016